Entry from Materials Project: an optimized crystal structure of Ca8Mn6Al2O21 (PBE+U).

a = 10.905 Å, b = 15.309 Å, c = 10.819 Å
α = 89.82°, β = 90.66°, γ = 90.10°
Sites, in units of the cell vectors:
O1 0.000 0.625 0.213
Ca1 0.976 0.879 0.001
O2 0.993 0.374 0.281
Ca2 0.735 0.114 0.751
Mn1 0.250 0.500 0.501
O3 0.849 0.986 0.656
O4 0.414 0.726 0.907
O5 0.123 0.228 0.329
O6 0.606 0.768 0.109
Al1 0.221 0.003 0.519
O7 0.464 0.868 0.763
O8 0.013 0.873 0.304
Ca3 0.021 0.618 0.997
Mn2 0.762 0.248 0.491
O9 0.231 0.355 0.476
O10 0.275 0.859 0.022
O11 0.394 0.516 0.393
O12 0.609 0.978 0.103
O13 0.852 0.996 0.173
O14 0.022 0.871 0.798
O15 0.589 0.978 0.613
Mn3 0.733 0.998 0.512
Mn4 0.243 0.759 0.481
O16 0.391 0.012 0.891
Ca4 0.491 0.360 0.008
Mn5 0.006 0.500 0.757
Mn6 0.508 0.746 0.259
O17 0.004 0.626 0.724
O18 0.507 0.124 0.722
O19 0.385 0.216 0.362
O20 0.639 0.234 0.362
Mn7 0.998 0.501 0.251
O21 0.733 0.121 0.029
O22 0.149 0.730 0.864
Mn8 0.503 0.504 0.743
Ca5 0.015 0.134 0.488
Ca6 0.234 0.886 0.760
O23 0.862 0.480 0.645
Mn9 0.757 0.748 0.507
O24 0.498 0.380 0.793
O25 0.373 0.263 0.623
Ca7 0.242 0.383 0.746
O26 0.531 0.232 0.125
O27 0.871 0.774 0.145
O28 0.906 0.732 0.414
Mn10 0.254 0.004 0.002
O29 0.898 0.522 0.393
O30 0.174 0.514 0.865
Mn11 0.504 0.251 0.746
O31 0.750 0.626 0.043
O32 0.662 0.732 0.360
Ca8 0.730 0.123 0.243
O33 0.202 0.177 0.059
O34 0.359 0.474 0.135
Al2 0.483 0.994 0.742
O35 0.773 0.375 0.460
O36 0.761 0.367 0.973
O37 0.467 0.627 0.708
Ca9 0.501 0.871 0.978
O38 0.101 0.477 0.113
O39 0.269 0.891 0.464
Ca10 0.483 0.383 0.513
Al3 0.275 0.242 0.483
Mn12 0.768 0.241 0.985
Mn13 0.749 0.500 0.003
O40 0.638 0.526 0.858
O41 0.657 0.736 0.860
Ca11 0.240 0.622 0.733
O42 0.861 0.774 0.655
O43 0.853 0.482 0.148
Mn14 0.993 0.997 0.759
O44 0.115 0.487 0.614
Mn15 0.267 0.737 0.996
O45 0.908 0.730 0.906
Ca12 0.519 0.123 0.976
Ca13 0.267 0.616 0.268
Al4 0.247 0.253 0.951
Al5 0.981 0.259 0.260
O46 0.480 0.625 0.210
Ca14 0.722 0.383 0.750
Mn16 0.005 0.749 0.260
Ca15 0.725 0.873 0.748
O47 0.111 0.995 0.107
Ca16 0.245 0.890 0.249
Mn17 0.747 0.997 0.998
O48 0.602 0.769 0.606
O49 0.749 0.626 0.547
Ca17 0.977 0.869 0.525
Mn18 0.008 0.752 0.761
O50 0.894 0.193 0.848
O51 0.740 0.120 0.534
O52 0.588 0.033 0.352
Ca18 0.782 0.627 0.763
O53 0.616 0.481 0.600
O54 0.176 0.749 0.292
O55 0.896 0.012 0.909
O56 0.641 0.234 0.859
O57 0.016 0.378 0.789
Mn19 0.754 0.499 0.501
Ca19 0.973 0.385 0.008
O58 0.083 0.995 0.607
O59 0.915 0.255 0.594
O60 0.359 0.481 0.643
Ca20 0.282 0.124 0.743
Ca21 0.780 0.626 0.259
Ca22 0.539 0.628 0.005
O61 0.390 0.228 0.884
Al6 0.235 0.493 0.021
O62 0.638 0.000 0.857
Ca23 0.013 0.121 0.997
Al7 0.507 0.982 0.228
O63 0.480 0.872 0.273
Ca24 0.225 0.381 0.263
Mn20 0.994 0.259 0.750
O64 0.133 0.026 0.365
O65 0.254 0.367 0.983
Mn21 0.007 0.989 0.252
Ca25 0.247 0.127 0.245
O66 0.225 0.134 0.530
Ca26 0.530 0.624 0.495
O67 0.762 0.881 0.458
O68 0.406 0.734 0.405
Al8 0.507 0.262 0.276
Ca27 0.728 0.392 0.255
O69 0.764 0.875 0.972
O70 0.244 0.620 0.049
O71 0.151 0.235 0.816
Ca28 0.009 0.619 0.513
O72 0.645 0.521 0.348
Ca29 0.525 0.131 0.509
O73 0.878 0.199 0.354
O74 0.897 0.516 0.901
O75 0.131 0.781 0.620
O76 0.143 0.507 0.355
O77 0.919 0.245 0.107
O78 0.602 0.477 0.103
O79 0.228 0.637 0.515
Ca30 0.738 0.865 0.242
Ca31 0.489 0.873 0.496
O80 0.343 0.998 0.637
Ca32 0.991 0.392 0.500
Mn22 0.506 0.745 0.752
O81 0.621 0.275 0.616
O82 0.364 0.018 0.164
Mn23 0.496 0.501 0.247
Mn24 0.759 0.749 0.004
O83 0.500 0.377 0.290
O84 0.145 0.028 0.857

Results
- E_form (kJ per mole of atoms) = -261.8
- total magnetic moment (μB/atom) = 0.595
- corrected total energy (MP2020 scheme) (eV per cell) = -1131.28

Entry from Materials Project: an optimized crystal structure of Ca4Mn3AlO11 (PBE+U).

a = 10.824 Å, b = 15.228 Å, c = 10.761 Å
α = 89.65°, β = 90.64°, γ = 90.17°
Sites, in units of the cell vectors:
O1 0.257 0.368 0.986
Ca1 0.228 0.881 0.242
Ca2 0.256 0.631 0.747
Mn1 0.505 0.501 0.743
Ca3 0.728 0.375 0.752
Al1 0.230 0.996 0.514
O2 0.859 0.768 0.143
Ca4 0.496 0.366 0.006
Mn2 0.249 0.500 0.501
O3 0.738 0.128 0.541
O4 0.282 0.868 0.005
O5 0.854 0.480 0.148
Ca5 0.974 0.387 0.509
Mn3 0.001 0.752 0.750
Mn4 0.259 0.004 0.004
Ca6 0.756 0.119 0.255
O6 0.391 0.727 0.390
O7 0.653 0.728 0.358
O8 0.017 0.876 0.798
Mn5 0.749 0.501 0.004
Ca7 0.777 0.626 0.256
O9 0.637 0.521 0.862
O10 0.603 0.480 0.108
O11 0.148 0.728 0.354
Ca8 0.230 0.385 0.257
Ca9 0.021 0.121 0.992
O12 0.744 0.624 0.543
O13 0.100 0.476 0.111
O14 0.240 0.624 0.536
O15 0.360 0.477 0.134
Mn6 0.992 0.249 0.755
O16 0.499 0.126 0.717
O17 0.647 0.232 0.853
O18 0.561 0.242 0.118
O19 0.610 0.977 0.099
Al2 0.271 0.241 0.470
O20 0.590 0.038 0.346
O21 0.357 0.480 0.643
Ca10 0.274 0.120 0.736
O22 0.366 0.014 0.163
O23 0.350 0.770 0.646
Mn7 0.005 0.747 0.253
O24 0.489 0.871 0.278
Mn8 0.753 0.251 0.505
Ca11 0.777 0.624 0.758
O25 0.394 0.016 0.888
Mn9 0.743 0.000 0.500
O26 0.149 0.025 0.863
Al3 0.518 0.261 0.272
Ca12 0.740 0.867 0.242
O27 0.108 0.998 0.113
O28 0.996 0.622 0.209
O29 0.102 0.980 0.614
O30 0.163 0.513 0.859
Ca13 0.482 0.872 0.508
Mn10 0.751 0.501 0.499
O31 0.211 0.176 0.065
Ca14 0.521 0.625 0.499
O32 0.861 0.279 0.644
Al4 0.498 0.999 0.741
O33 0.859 0.980 0.646
Ca15 0.240 0.379 0.744
Ca16 0.266 0.621 0.258
O34 0.136 0.232 0.337
O35 0.153 0.235 0.823
O36 0.989 0.129 0.710
O37 0.481 0.626 0.206
Ca17 0.024 0.626 0.996
O38 0.392 0.217 0.356
O39 0.117 0.767 0.114
O40 0.900 0.513 0.899
Ca18 0.727 0.875 0.742
Mn11 0.753 0.749 0.998
Mn12 0.998 0.502 0.252
Mn13 0.499 0.749 0.748
O41 0.599 0.763 0.600
O42 0.500 0.376 0.288
Mn14 0.997 0.994 0.254
O43 0.263 0.880 0.458
O44 0.900 0.523 0.397
O45 0.748 0.370 0.983
O46 0.238 0.126 0.517
Mn15 0.007 0.499 0.754
Mn16 0.253 0.745 0.998
O47 0.254 0.618 0.032
O48 0.393 0.517 0.395
Mn17 0.251 0.754 0.497
Mn18 0.999 0.998 0.754
O49 0.858 0.479 0.650
Ca19 0.527 0.629 0.996
O50 0.764 0.874 0.959
O51 0.476 0.623 0.722
O52 0.899 0.228 0.412
Ca20 0.499 0.875 0.979
Mn19 0.751 0.998 0.995
Ca21 0.477 0.382 0.509
O53 0.893 0.244 0.149
O54 0.149 0.516 0.353
O55 0.895 0.022 0.895
O56 0.604 0.984 0.602
O57 0.359 0.264 0.626
Ca22 0.021 0.628 0.502
O58 0.742 0.626 0.039
O59 0.855 0.772 0.647
Al5 0.986 0.265 0.284
Ca23 0.765 0.119 0.754
O60 0.497 0.378 0.790
Mn20 0.499 0.249 0.744
Mn21 0.507 0.747 0.254
O61 0.897 0.728 0.896
Ca24 0.240 0.878 0.759
O62 0.856 0.984 0.145
O63 0.005 0.379 0.291
O64 0.104 0.770 0.600
Mn22 0.752 0.748 0.501
O65 0.602 0.769 0.102
Ca25 0.983 0.875 0.011
O66 0.396 0.229 0.887
O67 0.897 0.729 0.397
O68 0.646 0.521 0.350
O69 0.606 0.276 0.603
Ca26 0.522 0.127 0.505
Ca27 0.248 0.120 0.252
O70 0.139 0.016 0.364
Al6 0.233 0.494 0.017
Ca28 0.970 0.380 0.002
O71 0.247 0.363 0.469
O72 0.612 0.481 0.600
O73 0.021 0.373 0.784
O74 0.901 0.234 0.901
O75 0.881 0.026 0.384
Al7 0.510 0.982 0.227
Mn23 0.496 0.502 0.247
Ca29 0.973 0.873 0.507
O76 0.402 0.733 0.899
Mn24 0.753 0.243 0.004
O77 0.764 0.377 0.458
Ca30 0.730 0.385 0.250
O78 0.738 0.121 0.037
O79 0.999 0.624 0.717
O80 0.751 0.876 0.458
O81 0.009 0.868 0.287
Ca31 0.010 0.113 0.501
Al8 0.252 0.254 0.955
O82 0.360 0.990 0.627
O83 0.653 0.233 0.357
Ca32 0.525 0.122 0.975
O84 0.144 0.736 0.852
O85 0.503 0.874 0.770
O86 0.643 0.013 0.852
O87 0.646 0.731 0.851
O88 0.110 0.480 0.607

Results
- E_form (kJ per mole of atoms) = -260.6
- total magnetic moment (μB/atom) = 0.526
- corrected total energy (MP2020 scheme) (eV per cell) = -1160.07